Compound: Rb8NO3
Source: Materials Project
Functional: PBE
Structure: optimized geometry

Summary:
Crystal system   cubic
Total DFT energy (no corrections)   -3.055 eV per atom
Symmetry   Pm-3m, No. 221

Cell and atoms, written as POSCAR:
```
Rb8NO3
1.0
6.936 0.000 0.000
0.000 6.936 0.000
0.000 0.000 6.936
Rb N O
8 1 3
Cartesian
1.712 1.712 1.712
1.712 1.712 5.224
1.712 5.224 1.712
1.712 5.224 5.224
5.224 1.712 1.712
5.224 1.712 5.224
5.224 5.224 1.712
5.224 5.224 5.224
3.468 3.468 3.468
0.000 0.000 3.468
0.000 3.468 0.000
3.468 0.000 0.000
```

=====

Compound: Rb2S2NO6
Source: Materials Project
Functional: PBE
Structure: optimized geometry

Summary:
Crystal system   monoclinic
Total DFT energy (no corrections)   -5.709 eV per atom
Symmetry   C2/c, No. 15

Cell and atoms, written as POSCAR:
```
Rb2S2NO6
1.0
6.441 -3.898 0.000
6.441 3.898 0.000
-0.560 0.000 7.737
Rb S N O
4 4 2 12
Cartesian
1.710 1.093 2.808
1.430 -1.093 6.677
10.892 1.093 1.060
10.611 -1.093 4.929
5.107 1.333 1.050
7.495 1.333 2.819
4.827 -1.333 4.918
7.215 -1.333 6.687
6.301 0.537 1.934
6.021 -0.537 5.803
4.406 2.235 1.982
5.223 2.063 7.706
6.818 2.063 3.899
4.259 0.237 0.583
8.196 2.235 1.887
3.979 -0.237 4.452
8.343 0.237 3.285
4.126 -2.235 5.850
8.063 -0.237 7.154
5.504 -2.063 3.838
7.098 -2.063 0.031
7.916 -2.235 5.755
```

=====

Compound: RbSNO
Source: Materials Project
Functional: PBE
Structure: optimized geometry

Summary:
Crystal system   orthorhombic
Total DFT energy (no corrections)   -5.336 eV per atom
Symmetry   P2_12_12_1, No. 19

Cell and atoms, written as POSCAR:
```
RbSNO
1.0
6.686 0.000 0.000
0.000 7.624 0.000
0.000 0.000 8.370
Rb S N O
4 4 4 4
Cartesian
1.666 0.816 1.190
1.677 6.808 5.375
5.009 2.996 7.180
5.020 4.628 2.995
1.656 4.476 0.911
1.687 3.148 5.096
4.999 6.960 7.459
5.030 0.664 3.274
0.378 3.733 0.914
2.965 3.890 5.099
3.721 0.079 7.456
6.309 7.545 3.271
0.358 3.889 5.105
2.985 3.735 0.920
3.701 7.547 3.265
6.328 0.077 7.450
```

=====

Compound: ReNO2
Source: Materials Project
Functional: PBE
Structure: optimized geometry

Summary:
Crystal system   tetragonal
Total DFT energy (no corrections)   -6.572 eV per atom
Symmetry   I4_1/amd, No. 141

Cell and atoms, written as POSCAR:
```
ReNO2
1.0
-2.941 2.941 4.971
2.941 -2.941 4.971
2.941 2.941 -4.971
Re N O
4 4 8
Cartesian
0.000 0.000 0.000
1.471 1.471 -2.485
1.471 -1.471 2.485
0.000 2.941 0.000
2.941 0.000 0.000
-1.471 1.471 2.485
0.000 0.000 4.971
1.471 1.471 2.485
2.941 -0.313 1.751
2.941 2.628 -1.751
1.157 1.471 0.735
1.784 -1.471 5.705
1.157 4.412 -0.735
1.784 1.471 4.236
0.000 0.313 6.721
0.000 3.255 3.220
```

=====

Compound: ReS8NO2
Source: Materials Project
Functional: PBE
Structure: optimized geometry

Summary:
Crystal system   triclinic
Total DFT energy (no corrections)   -5.120 eV per atom
Symmetry   P-1, No. 2

Cell and atoms, written as POSCAR:
```
ReS8NO2
1.0
7.860 0.000 0.000
1.787 8.562 0.000
2.189 0.655 9.948
Re S N O
2 16 2 4
Cartesian
2.401 3.744 3.855
9.436 5.473 6.093
1.566 4.994 2.156
1.102 1.898 2.789
2.928 2.276 7.361
2.560 1.734 5.482
3.611 5.396 4.788
2.276 1.296 1.246
4.381 2.798 3.198
4.124 1.052 2.129
7.713 8.165 7.819
7.455 6.420 6.750
9.561 7.921 8.702
8.226 3.821 5.161
9.276 7.483 4.466
8.908 6.941 2.587
10.735 7.319 7.159
10.271 4.223 7.792
4.828 6.238 4.676
7.008 2.979 5.273
6.020 4.197 8.785
5.078 6.010 1.127
6.758 3.207 8.821
5.817 5.020 1.163
```

=====

Compound: ReS2NO9
Source: Materials Project
Functional: PBE
Structure: optimized geometry

Summary:
Crystal system   triclinic
Total DFT energy (no corrections)   -6.305 eV per atom
Symmetry   P-1, No. 2

Cell and atoms, written as POSCAR:
```
ReS2NO9
1.0
7.919 0.000 0.000
-1.982 7.762 0.000
-2.162 -2.700 7.236
Re S N O
2 4 2 18
Cartesian
0.117 3.043 1.138
3.658 2.019 6.098
-1.029 1.542 5.437
-0.379 6.316 1.251
4.153 -1.254 5.985
4.803 3.521 1.800
-1.737 5.582 5.206
5.512 -0.520 2.030
-1.538 3.401 2.100
-3.220 3.360 7.040
-1.376 6.393 2.269
-0.480 0.794 4.355
-1.078 0.542 6.694
0.464 4.946 1.364
-0.479 2.805 5.815
1.139 2.228 2.199
0.572 7.354 1.052
3.202 -2.292 6.184
2.635 2.835 5.037
4.254 2.257 1.421
3.310 0.116 5.872
4.853 4.521 0.542
4.254 4.268 2.881
5.151 -1.331 4.967
6.994 1.703 0.196
5.312 1.662 5.136
```

=====

Compound: ScS2NO8
Source: Materials Project
Functional: PBE
Structure: optimized geometry

Summary:
Crystal system   trigonal
Total DFT energy (no corrections)   -6.333 eV per atom
Symmetry   P321, No. 150

Cell and atoms, written as POSCAR:
```
ScS2NO8
1.0
5.082 0.000 0.000
-2.541 4.401 0.000
0.000 0.000 8.648
Sc S N O
1 2 1 8
Cartesian
0.000 0.000 0.000
0.000 2.934 1.824
2.541 1.467 6.824
0.000 0.000 4.324
-0.450 1.612 1.285
-0.920 3.985 1.285
0.000 2.934 3.273
1.621 0.416 7.363
1.370 3.206 1.285
2.541 1.467 5.375
2.091 2.789 7.363
3.911 1.196 7.363
```

=====

Compound: SmS3N3O9
Source: Materials Project
Functional: PBE
Structure: optimized geometry

Summary:
Crystal system   hexagonal
Total DFT energy (no corrections)   -6.167 eV per atom
Symmetry   P6_3/m, No. 176

Cell and atoms, written as POSCAR:
```
SmS3N3O9
1.0
9.861 0.000 0.000
-4.930 8.540 0.000
0.000 0.000 5.797
Sm S N O
2 6 6 18
Cartesian
0.000 5.693 1.449
4.930 2.847 4.348
-1.121 3.423 4.348
-1.405 7.799 4.348
2.404 2.683 1.449
2.527 5.857 4.348
6.336 0.740 1.449
6.052 5.117 1.449
-2.989 7.304 4.348
0.099 2.299 4.348
2.041 1.064 1.449
2.889 7.476 4.348
4.831 6.240 1.449
7.919 1.236 1.449
-2.567 5.889 1.449
-0.938 4.220 3.130
-0.938 4.220 5.565
1.114 3.372 1.449
-0.807 7.242 3.130
-0.807 7.242 5.565
3.477 0.721 4.348
3.186 2.922 0.232
3.186 2.922 2.667
1.745 5.618 3.130
1.745 5.618 5.565
1.453 7.819 1.449
5.738 1.298 0.232
5.738 1.298 2.667
3.816 5.168 4.348
5.868 4.320 0.232
5.868 4.320 2.667
7.498 2.651 4.348
```

=====

Compound: SnS6N2O21
Source: Materials Project
Functional: PBE
Structure: optimized geometry

Summary:
Crystal system   trigonal
Total DFT energy (no corrections)   -5.636 eV per atom
Symmetry   P-3, No. 147

Cell and atoms, written as POSCAR:
```
SnS6N2O21
1.0
10.260 0.000 0.000
-5.130 8.885 0.000
0.000 0.000 11.587
Sn S N O
2 12 4 42
Cartesian
0.000 0.000 2.782
0.000 0.000 8.804
-0.952 3.009 7.670
-2.616 7.037 1.732
0.344 3.101 1.732
-2.048 8.205 7.670
2.130 2.329 3.917
2.858 1.253 9.855
2.272 7.632 1.732
3.000 6.557 7.670
7.178 0.680 3.917
4.786 5.784 9.855
7.746 1.849 9.855
6.081 5.876 3.917
0.000 5.924 5.080
0.000 5.924 10.138
5.130 2.962 1.449
5.130 2.962 6.507
-3.104 5.734 4.867
-1.526 3.043 9.199
-0.329 1.623 7.533
-0.163 1.663 1.564
-3.608 8.195 1.564
-3.560 8.359 7.533
-2.305 6.504 0.445
-0.436 3.833 2.685
1.241 1.096 4.054
1.358 0.973 10.023
-1.660 6.819 7.687
0.054 4.038 7.687
-1.592 7.346 2.685
0.650 3.637 0.445
-1.731 8.685 9.199
1.872 2.843 2.388
1.716 3.330 4.867
3.742 0.179 6.720
3.475 1.256 11.141
3.101 2.294 8.902
3.524 1.972 3.900
1.606 6.913 7.687
2.028 6.591 2.685
1.655 7.630 0.445
1.388 8.706 4.867
3.414 5.555 6.720
3.257 6.042 9.199
6.861 0.200 2.388
4.480 5.248 11.141
6.722 1.539 8.902
5.076 4.847 3.900
6.790 2.066 3.900
3.772 7.913 1.564
3.889 7.789 7.533
5.566 5.052 8.902
7.435 2.381 11.141
8.690 0.526 4.054
8.738 0.690 10.023
5.293 7.223 10.023
5.459 7.263 4.054
6.656 5.842 2.388
8.234 3.151 6.720
```

=====

Compound: U2SN2O10
Source: Materials Project
Functional: PBE
Structure: optimized geometry

Summary:
Crystal system   orthorhombic
Total DFT energy (no corrections)   -7.341 eV per atom
Symmetry   Cmce, No. 64

Cell and atoms, written as POSCAR:
```
U2SN2O10
1.0
7.439 -4.387 0.000
7.439 4.387 0.000
0.000 0.000 17.374
U S N O
8 4 8 40
Cartesian
3.448 1.121 1.459
3.991 1.121 7.227
3.448 -1.121 15.914
3.991 -1.121 10.146
10.887 1.121 7.227
11.429 1.121 1.459
10.887 -1.121 10.146
11.429 -1.121 15.914
3.719 1.085 13.030
3.719 -1.085 4.343
11.158 1.085 13.030
11.158 -1.085 4.343
7.439 3.210 13.046
7.439 2.947 1.671
7.439 1.439 10.358
7.439 1.176 4.359
7.439 -1.176 13.015
7.439 -1.439 7.016
7.439 -2.947 15.703
7.439 -3.210 4.328
5.769 3.286 16.193
2.256 1.128 6.708
4.589 2.461 5.208
4.589 1.925 13.895
3.687 1.099 9.422
3.752 1.099 16.639
2.875 0.244 13.920
5.182 1.128 1.979
2.875 -0.244 3.454
9.108 3.286 16.193
5.769 1.100 7.506
4.563 0.244 12.141
2.256 -1.128 10.665
4.563 -0.244 5.233
3.687 -1.099 7.952
3.752 -1.099 0.735
10.288 2.461 5.208
10.288 1.925 13.895
5.182 -1.128 15.395
9.108 1.100 7.506
5.769 -1.100 9.868
9.695 1.128 1.979
4.589 -1.925 3.479
4.589 -2.461 12.166
11.126 1.099 16.639
11.190 1.099 9.422
10.314 0.244 12.141
12.621 1.128 6.708
10.314 -0.244 5.233
9.108 -1.100 9.868
5.769 -3.286 1.181
12.002 0.244 13.920
9.695 -1.128 15.395
12.002 -0.244 3.454
11.126 -1.099 0.735
11.190 -1.099 7.952
10.288 -1.925 3.479
10.288 -2.461 12.166
12.621 -1.128 10.665
9.108 -3.286 1.181
```

=====

Compound: ZnS2N4O8
Source: Materials Project
Functional: PBE
Structure: optimized geometry

Summary:
Crystal system   triclinic
Energy above the lowest structure with this stoichiometry   0 meV/atom
Total DFT energy (no corrections)   -6.229 eV per atom
Symmetry   P-1, No. 2

Cell and atoms, written as POSCAR:
```
ZnS2N4O8
1.0
5.261 0.000 0.000
-0.406 6.326 0.000
-2.243 -1.121 8.028
Zn S N O
1 2 4 8
Cartesian
0.000 0.000 0.000
-0.135 4.009 6.411
2.746 1.196 1.618
-0.280 4.826 1.834
0.004 3.992 2.510
2.608 1.213 5.518
2.891 0.379 6.194
-1.413 3.869 7.165
-0.157 5.167 5.487
0.040 2.849 5.502
1.619 1.129 0.655
0.992 4.076 7.373
2.572 2.356 2.526
2.769 0.038 2.542
4.025 1.336 0.863
```

=====

Number 1: ΔH_f (0 K) -642 meV per atom. Number 2: ΔH_f (0 K) -1697 meV per atom. Number 3: ΔH_f (0 K) -907 meV per atom. Number 4: ΔH_f (0 K) 753 meV per atom. Number 5: ΔH_f (0 K) 167 meV per atom. Number 6: ΔH_f (0 K) -1120 meV per atom. Number 7: ΔH_f (0 K) -1580 meV per atom. Number 8: ΔH_f (0 K) -1137 meV per atom. Number 9: ΔH_f (0 K) -1137 meV per atom. Number 10: ΔH_f (0 K) -1608 meV per atom. Number 11: ΔH_f (0 K) -1098 meV per atom.